# 1
## Mg14NbBi (PBE-GGA)

Data for crystalline Mg14NbBi at its relaxed geometry.

Summary:
The calculation puts the magnetization at 0.057 μB per atom. Its relative energy among the computed polymorphs is 1.2 kJ per mole of atoms. Its formation energy is 59 meV/atom.

Cell lengths 6.372, 6.320, 10.315 Å; angles 90.00, 90.00, 119.73 degrees
Fractional positions:
1 Mg 0.166 0.333 0.625
2 Mg 0.167 0.834 0.625
3 Mg 0.668 0.332 0.125
4 Mg 0.666 0.332 0.625
5 Mg 0.668 0.835 0.125
6 Mg 0.666 0.834 0.625
7 Mg 0.333 0.173 0.375
8 Mg 0.333 0.173 0.875
9 Mg 0.333 0.659 0.375
10 Mg 0.333 0.659 0.875
11 Mg 0.840 0.170 0.372
12 Mg 0.840 0.170 0.878
13 Mg 0.828 0.664 0.380
14 Mg 0.828 0.664 0.870
15 Nb 0.172 0.336 0.125
16 Bi 0.160 0.830 0.125

# 2
## Mg14NbBi (PBE-GGA)

Data for crystalline Mg14NbBi at its relaxed geometry.

Summary:
The calculation puts the magnetization at 0.000 μB per atom. Its relative energy among the computed polymorphs is 0.0 kJ per mole of atoms. Its formation energy is 46 meV/atom.

Cell lengths 6.365, 6.365, 10.327 Å; angles 90.00, 90.00, 120.00 degrees
Fractional positions:
1 Mg 0.168 0.834 0.125
2 Mg 0.165 0.833 0.625
3 Mg 0.666 0.332 0.125
4 Mg 0.667 0.335 0.625
5 Mg 0.666 0.834 0.125
6 Mg 0.667 0.833 0.625
7 Mg 0.330 0.170 0.365
8 Mg 0.330 0.170 0.885
9 Mg 0.330 0.660 0.365
10 Mg 0.330 0.660 0.885
11 Mg 0.840 0.170 0.365
12 Mg 0.840 0.170 0.885
13 Mg 0.833 0.667 0.371
14 Mg 0.833 0.667 0.879
15 Nb 0.167 0.333 0.125
16 Bi 0.167 0.333 0.625

# 3
## Mg2Nb3Bi3O14 (PBE-GGA)

Data for crystalline Mg2Nb3Bi3O14 at its relaxed geometry.

Summary:
The calculation puts the magnetization at 0.000 μB per atom. The energy with MP2020 corrections is -7.76 eV per atom. Its formation energy is -2561 meV/atom.

Cell lengths 7.334, 7.334, 7.334 Å; angles 61.84, 61.84, 61.84 degrees
Fractional positions:
1 Mg 0.500 0.500 0.500
2 Mg 0.000 0.000 0.000
3 Nb 0.500 0.000 0.000
4 Nb 0.000 0.000 0.500
5 Nb 0.000 0.500 0.000
6 Bi 0.000 0.500 0.500
7 Bi 0.500 0.500 0.000
8 Bi 0.500 0.000 0.500
9 O 0.389 0.389 0.389
10 O 0.611 0.611 0.611
11 O 0.925 0.319 0.319
12 O 0.343 0.913 0.913
13 O 0.319 0.319 0.925
14 O 0.913 0.913 0.343
15 O 0.913 0.343 0.913
16 O 0.319 0.925 0.319
17 O 0.075 0.681 0.681
18 O 0.657 0.087 0.087
19 O 0.681 0.681 0.075
20 O 0.087 0.087 0.657
21 O 0.087 0.657 0.087
22 O 0.681 0.075 0.681